# 1
First-principles (PBE-GGA) data for crystalline Na7Al3ZnSi3S3O24 at its relaxed geometry, as listed in the Materials Project database.

Total moment in μB per formula unit: 0.000
Formation energy from the elements in meV/atom: -2522

Cell: 8.872 8.811 21.692 Å, 90.80 90.21 119.69°
Element x y z (fractional)
O  0.848  0.827  0.588
Si  0.713  0.997  0.753
O  0.850  0.306  0.528
S  0.286  0.993  0.252
O  0.981  0.806  0.805
O  0.803  0.836  0.191
O  0.126  0.482  0.858
Na  0.675  0.345  0.331
O  0.799  0.825  0.911
Zn  0.980  0.974  0.355
O  0.697  0.160  0.022
O  0.897  0.529  0.140
S  0.959  0.620  0.082
O  0.478  0.399  0.143
Na  0.625  0.625  0.742
Al  0.982  0.008  0.143
O  0.452  0.294  0.024
O  0.697  0.174  0.749
O  0.634  0.162  0.429
Si  0.667  0.038  0.083
Na  0.332  0.290  0.917
Al  0.632  0.297  0.987
Si  0.701  0.702  0.249
Na  0.722  0.685  0.417
Na  0.340  0.656  0.161
O  0.369  0.492  0.360
O  0.503  0.149  0.921
O  0.455  0.145  0.528
O  0.516  0.822  0.757
Na  0.665  0.961  0.584
S  0.341  0.386  0.417
Na  0.008  0.007  0.002
O  0.680  0.505  0.243
O  0.646  0.507  0.923
O  0.477  0.318  0.751
Al  0.353  0.677  0.516
O  0.192  0.019  0.588
O  0.032  0.822  0.693
O  0.543  0.695  0.971
O  0.304  0.835  0.977
O  0.296  0.486  0.759
Na  0.385  0.016  0.756
S  0.627  0.665  0.917
O  0.504  0.884  0.357
Na  0.654  0.690  0.089
O  0.892  0.366  0.639
Na  0.994  0.993  0.499
Na  0.965  0.298  0.413
O  0.493  0.656  0.575
O  0.813  0.769  0.313
Si  0.353  0.334  0.082
Na  0.994  0.355  0.750
Si  0.625  0.970  0.419
O  0.136  0.645  0.073
Si  0.281  0.290  0.752
S  0.044  0.386  0.916
O  0.170  0.676  0.479
S  0.967  0.335  0.583
O  0.160  0.473  0.969
S  0.009  0.296  0.251
Na  0.333  0.026  0.416
O  0.466  0.142  0.249
O  0.792  0.959  0.690
S  0.008  0.719  0.751
O  0.174  0.147  0.094
O  0.856  0.491  0.422
O  0.869  0.368  0.921
O  0.361  0.857  0.856
O  0.041  0.841  0.419
Na  0.379  0.372  0.242
Si  0.055  0.663  0.418
Na  0.020  0.694  0.576
O  0.641  0.525  0.647
O  0.628  0.117  0.145
O  0.200  0.173  0.813
O  0.834  0.006  0.086
Al  0.350  0.677  0.812
O  0.537  0.840  0.477
Na  0.316  0.982  0.081
O  0.167  0.703  0.756
Na  0.694  0.034  0.916
O  0.855  0.542  0.748
O  0.515  0.631  0.860
O  0.180  0.974  0.196
O  0.505  0.688  0.257
O  0.143  0.630  0.356
O  0.187  0.210  0.412
Na  0.637  0.999  0.243
Al  0.331  0.675  0.020
Si  0.321  0.947  0.916
O  0.170  0.472  0.253
O  0.992  0.199  0.309
Al  0.692  0.355  0.478
O  0.854  0.316  0.246
O  0.152  0.189  0.692
O  0.977  0.170  0.586
Al  0.016  0.009  0.850
S  0.368  0.037  0.582
O  0.141  0.489  0.575
O  0.835  0.019  0.814
O  0.314  0.469  0.472
Zn  0.650  0.338  0.172
Na  0.350  0.648  0.666
Zn  0.645  0.330  0.686
O  0.836  0.527  0.029
O  0.499  0.368  0.423
Al  0.349  0.686  0.318
O  0.032  0.204  0.197
Na  0.982  0.632  0.254
O  0.022  0.204  0.914
O  0.335  0.505  0.066
Al  0.985  0.999  0.651
O  0.152  0.979  0.910
Si  0.664  0.628  0.583
O  0.344  0.855  0.576
O  0.211  0.024  0.308
O  0.700  0.530  0.524
O  0.978  0.800  0.086
Na  0.661  0.327  0.832
O  0.491  0.842  0.075
O  0.292  0.824  0.254
O  0.823  0.002  0.417
O  0.476  0.106  0.639


# 2
First-principles (PBE-GGA) data for crystalline ErFeRu at its relaxed geometry, as listed in the Materials Project database.

Formation energy from the elements in meV/atom: -269

Cell: 5.231 5.231 5.231 Å, 121.34 118.41 90.24°
Element x y z (fractional)
Fe  0.000  0.000  0.500
Fe  0.000  0.500  0.000
Er  0.625  0.875  0.750
Er  0.375  0.125  0.250
Ru  0.500  0.500  0.000
Ru  0.000  0.500  0.500


# 3
First-principles (PBE-GGA) data for crystalline Rb2Ga2Ge3O10 at its relaxed geometry, as listed in the Materials Project database.

Relative energy among the computed polymorphs in kJ per mole of atoms: 0.00
Total moment in μB per formula unit: 0.000
Formation energy from the elements in meV/atom: -2235

Cell: 9.529 9.529 12.860 Å, 50.14 50.14 41.52°
Element x y z (fractional)
O  0.743  0.367  0.316
Ge  0.761  0.987  0.702
O  0.510  0.210  0.381
Ge  0.692  0.423  0.807
O  0.498  0.706  0.461
Rb  0.007  0.724  0.378
Ga  0.560  0.269  0.463
O  0.662  0.856  0.884
O  0.790  0.490  0.619
Rb  0.150  0.373  0.869
O  0.002  0.307  0.404
Rb  0.276  0.993  0.622
O  0.465  0.592  0.131
Ge  0.013  0.239  0.298
O  0.869  0.123  0.883
O  0.032  0.738  0.111
Ga  0.731  0.440  0.537
O  0.476  0.257  0.154
O  0.059  0.830  0.653
O  0.170  0.941  0.347
O  0.743  0.524  0.846
O  0.633  0.257  0.684
O  0.144  0.338  0.116
Ge  0.577  0.308  0.193
O  0.877  0.131  0.117
Rb  0.627  0.850  0.131
O  0.408  0.535  0.869
Ga  0.260  0.474  0.065
O  0.294  0.502  0.539
Ga  0.526  0.740  0.935
Ge  0.008  0.992  0.000
O  0.693  0.998  0.596
Ge  0.265  0.735  0.500
O  0.262  0.968  0.889


# 4
First-principles (PBE-GGA) data for crystalline SiPd at its relaxed geometry, as listed in the Materials Project database.

Formation energy from the elements in meV/atom: -539

Cell: 3.469 5.645 6.162 Å, 90.00 90.00 90.00°
Element x y z (fractional)
Pd  0.750  0.996  0.191
Pd  0.250  0.004  0.809
Si  0.250  0.177  0.427
Pd  0.250  0.504  0.691
Pd  0.750  0.496  0.309
Si  0.250  0.677  0.073
Si  0.750  0.823  0.573
Si  0.750  0.323  0.927


no.,DFT total energy (eV per atom),mass density (g cm⁻³)
1,-6.2462,2.9
2,-7.7067,10.6
3,-6.0288,4.1
4,-5.8415,7.4